The following is a GGA+U calculation of a geometry-optimized Li3MnCoO5 structure, from the Materials Project database.

Structure (extended XYZ):
```
20
Lattice="1.4567 7.7289 0.0000 -1.4567 7.7289 0.0000 0.0000 2.0951 7.9906" Properties=species:S:1:pos:R:3 pbc="T T T"
Li 0.0000 12.6834 7.2450
Li 0.0000 14.6709 2.2243
Li 0.0000 2.8820 5.7663
Li 0.0000 4.8694 0.7456
Li 0.0000 8.7764 3.9953
Li 0.0000 7.7289 0.0000
Mn 0.0000 5.9160 4.8224
Mn 0.0000 11.6369 3.1682
Co 0.0000 15.7417 6.5553
Co 0.0000 1.8112 1.4353
O 0.0000 14.8455 4.4321
O 0.0000 3.6105 7.6668
O 0.0000 5.2254 2.9206
O 0.0000 9.2138 5.9397
O 0.0000 11.1169 1.3722
O 0.0000 8.3391 2.0509
O 0.0000 12.3275 5.0700
O 0.0000 13.9424 0.3238
O 0.0000 2.7074 3.5585
O 0.0000 6.4360 6.6183
```

Energy of formation (eV per atom): -1.909
Energy with MP2020 corrections (eV for the cell shown): -131.64



The following is a GGA+U calculation of a geometry-optimized Li4MnCo2O7 structure, from the Materials Project database.

Structure (extended XYZ):
```
28
Lattice="1.4535 16.9710 0.0000 -1.4535 16.9710 0.0000 0.0000 0.3604 5.1504" Properties=species:S:1:pos:R:3 pbc="T T T"
Li 0.0000 17.1607 2.5935
Li 0.0000 31.6045 1.8523
Li 0.0000 12.1567 1.1117
Li 0.0000 26.6734 0.3576
Li 0.0000 7.5904 4.7801
Li 0.0000 2.7685 3.2789
Li 0.0000 22.1113 3.9893
Li 0.0000 4.9721 1.5206
Mn 0.0000 0.0039 0.0373
Mn 0.0000 19.5748 0.8300
Co 0.0000 14.8201 4.3728
Co 0.0000 29.3021 3.6450
Co 0.0000 9.8568 2.8961
Co 0.0000 24.2929 2.1486
O 0.0000 18.4458 4.4294
O 0.0000 32.8346 3.5773
O 0.0000 13.4150 2.8029
O 0.0000 27.9664 2.0932
O 0.0000 8.5462 1.3625
O 0.0000 3.8690 5.0549
O 0.0000 23.2586 0.7399
O 0.0000 15.9271 0.8788
O 0.0000 30.4017 0.0367
O 0.0000 11.2445 4.4953
O 0.0000 25.7014 3.6532
O 0.0000 6.3892 3.1073
O 0.0000 1.4966 1.6265
O 0.0000 20.6974 2.2587
```

Energy of formation (eV per atom): -1.701
Energy with MP2020 corrections (eV for the cell shown): -178.94



The following is a GGA+U calculation of a geometry-optimized Li5Mn2CoO8 structure, from the Materials Project database.

Structure (extended XYZ):
```
32
Lattice="-2.2396 1.6817 0.7054 3.3183 -2.2022 9.7044 6.1118 7.1683 2.5791" Properties=species:S:1:pos:R:3 pbc="T T T"
Li 4.7750 6.7569 5.1449
Li 2.8442 2.3637 3.4603
Li 0.3251 1.9742 2.2315
Li 4.5064 4.7168 3.1960
Li 1.1823 -0.0219 3.7945
Li 3.1128 4.4038 5.4092
Li 5.9491 6.6683 9.0315
Li 4.0221 2.2713 7.4004
Li 6.9153 4.6471 10.9092
Li 2.7487 1.9318 9.9834
Mn 1.9735 4.4561 1.7057
Mn 5.6456 4.6645 6.8994
Mn 0.0535 -0.0033 0.1168
Mn 1.4540 1.9556 5.9092
Co 4.3489 4.3000 9.5075
Co 2.4128 -0.1250 7.8652
O 0.5954 0.0093 1.8387
O 2.5389 4.4747 3.4328
O 0.9120 1.9429 4.1873
O 5.0803 4.6459 5.1723
O 5.2631 6.5374 7.1415
O 3.3181 2.1455 5.4718
O 2.3560 2.5832 1.4637
O 4.3012 6.9751 3.1333
O 6.1799 4.5260 8.8796
O 1.9825 1.8819 7.9428
O 6.7154 6.7182 11.0721
O 4.7575 2.3924 9.4299
O 4.8736 4.1979 11.3746
O 2.9702 -0.2573 9.8337
O 1.8555 0.0074 5.8967
O 3.8241 4.4021 7.6404
```

Energy of formation (eV per atom): -2.011
Energy with MP2020 corrections (eV for the cell shown): -213.46



The following is a GGA+U calculation of a geometry-optimized Li7Mn2Co3O12 structure, from the Materials Project database.

Structure (extended XYZ):
```
24
Lattice="1.4564 7.6040 0.0000 -1.4564 7.6040 0.0000 0.0000 6.8672 9.7446" Properties=species:S:1:pos:R:3 pbc="T T T"
Li 0.0000 6.7820 2.4760
Li 0.0000 15.3771 7.1907
Li 0.0000 16.8990 2.5881
Li 0.0000 10.1673 7.2288
Li 0.0000 5.1143 7.2506
Li 0.0000 11.8088 2.4635
Li 0.0000 8.5142 4.9033
Mn 0.0000 6.8778 9.7127
Mn 0.0000 18.5786 4.9272
Co 0.0000 10.2602 0.0003
Co 0.0000 5.0123 0.0233
Co 0.0000 13.7432 4.7920
O 0.0000 13.7424 8.6405
O 0.0000 15.1460 3.6685
O 0.0000 8.5101 8.6661
O 0.0000 10.2956 3.8189
O 0.0000 5.0993 3.8532
O 0.0000 18.6562 8.6031
O 0.0000 6.7031 5.9773
O 0.0000 8.3836 1.0319
O 0.0000 17.0817 6.0128
O 0.0000 3.2992 1.2293
O 0.0000 13.6036 1.0544
O 0.0000 11.8119 5.9506
```

Energy of formation (eV per atom): -1.740
Energy with MP2020 corrections (eV for the cell shown): -154.14